# PBE-GGA Eu5Sb3, optimized geometry
data_Eu5Sb3
_chemical_formula_sum 'Eu10 Sb6'
_symmetry_space_group_name_H-M 'P 1'
_symmetry_Int_Tables_number 1
_cell_length_a 9.363
_cell_length_b 9.363
_cell_length_c 7.073
_cell_angle_alpha 90.00
_cell_angle_beta 90.00
_cell_angle_gamma 120.00
loop_
_symmetry_equiv_pos_as_xyz
'x,y,z'
loop_
_atom_site_label
_atom_site_type_symbol
_atom_site_fract_x
_atom_site_fract_y
_atom_site_fract_z
Eu1 Eu 0.333 0.667 0.500
Sb1 Sb 0.390 0.390 0.250
Eu2 Eu 0.746 0.746 0.250
Eu3 Eu 0.254 0.254 0.750
Sb2 Sb 0.390 0.000 0.750
Eu4 Eu 0.667 0.333 0.500
Sb3 Sb 0.000 0.390 0.750
Eu5 Eu 0.000 0.746 0.750
Sb4 Sb 0.610 0.000 0.250
Eu6 Eu 0.746 0.000 0.750
Sb5 Sb 0.610 0.610 0.750
Sb6 Sb 0.000 0.610 0.250
Eu7 Eu 0.333 0.667 0.000
Eu8 Eu 0.667 0.333 0.000
Eu9 Eu 0.254 0.000 0.250
Eu10 Eu 0.000 0.254 0.250
# **ΔH_f (0 K)**: -1.093 eV/atom
# **MP2020-corrected energy**: -9.0522 eV/atom
# **E_tot**: -143.683 eV/cell

=====

# PBE-GGA TlCuO3, optimized geometry
data_TlCuO3
_chemical_formula_sum 'Tl1 Cu1 O3'
_symmetry_space_group_name_H-M 'P 1'
_symmetry_Int_Tables_number 1
_cell_length_a 3.843
_cell_length_b 3.843
_cell_length_c 3.843
_cell_angle_alpha 90.00
_cell_angle_beta 90.00
_cell_angle_gamma 90.00
loop_
_symmetry_equiv_pos_as_xyz
'x,y,z'
loop_
_atom_site_label
_atom_site_type_symbol
_atom_site_fract_x
_atom_site_fract_y
_atom_site_fract_z
Cu1 Cu 0.500 0.500 0.500
O1 O 0.500 0.000 0.500
O2 O 0.000 0.500 0.500
Tl1 Tl 0.000 0.000 0.000
O3 O 0.500 0.500 0.000
# **ΔH_f (0 K)**: -0.658 eV/atom
# **MP2020-corrected energy**: -4.9196 eV/atom
# **E_tot**: -22.537 eV/cell

=====

# PBE-GGA NaCrN2, optimized geometry
data_NaCrN2
_chemical_formula_sum 'Na2 Cr2 N4'
_symmetry_space_group_name_H-M 'P 1'
_symmetry_Int_Tables_number 1
_cell_length_a 5.512
_cell_length_b 5.512
_cell_length_c 5.512
_cell_angle_alpha 124.75
_cell_angle_beta 124.75
_cell_angle_gamma 81.95
loop_
_symmetry_equiv_pos_as_xyz
'x,y,z'
loop_
_atom_site_label
_atom_site_type_symbol
_atom_site_fract_x
_atom_site_fract_y
_atom_site_fract_z
Cr1 Cr 0.000 0.000 0.000
N1 N 0.375 0.258 0.383
Na1 Na 0.250 0.750 0.500
N2 N 0.875 0.992 0.617
Na2 Na 0.500 0.500 0.000
N3 N 0.008 0.625 0.883
Cr2 Cr 0.750 0.250 0.500
N4 N 0.742 0.125 0.117
# **ΔH_f (0 K)**: -0.575 eV/atom
# **MP2020-corrected energy**: -7.4868 eV/atom
# **E_tot**: -58.451 eV/cell

=====

# PBE-GGA CeZnSi, optimized geometry
data_CeZnSi
_chemical_formula_sum 'Ce1 Zn1 Si1'
_symmetry_space_group_name_H-M 'P 1'
_symmetry_Int_Tables_number 1
_cell_length_a 4.199
_cell_length_b 4.199
_cell_length_c 4.111
_cell_angle_alpha 90.00
_cell_angle_beta 90.00
_cell_angle_gamma 120.00
loop_
_symmetry_equiv_pos_as_xyz
'x,y,z'
loop_
_atom_site_label
_atom_site_type_symbol
_atom_site_fract_x
_atom_site_fract_y
_atom_site_fract_z
Ce1 Ce 0.333 0.667 0.000
Si1 Si 0.000 0.000 0.500
Zn1 Zn 0.667 0.333 0.500
# **ΔH_f (0 K)**: -0.520 eV/atom
# **MP2020-corrected energy**: -4.7256 eV/atom
# **E_tot**: -14.248 eV/cell

=====

# PBE-GGA Sb3P2H6C2NO9, optimized geometry
data_Sb3P2H6C2NO9
_chemical_formula_sum 'Sb6 P4 H12 C4 N2 O18'
_symmetry_space_group_name_H-M 'P 1'
_symmetry_Int_Tables_number 1
_cell_length_a 6.984
_cell_length_b 9.613
_cell_length_c 10.311
_cell_angle_alpha 107.17
_cell_angle_beta 97.46
_cell_angle_gamma 88.67
loop_
_symmetry_equiv_pos_as_xyz
'x,y,z'
loop_
_atom_site_label
_atom_site_type_symbol
_atom_site_fract_x
_atom_site_fract_y
_atom_site_fract_z
P1 P 0.120 0.669 0.746
H1 H 0.511 0.535 0.853
Sb1 Sb 0.188 0.299 0.526
Sb2 Sb 0.930 0.752 0.174
O1 O 0.037 0.250 0.165
H2 H 0.258 0.515 0.201
C1 C 0.630 0.460 0.856
P2 P 0.880 0.331 0.254
Sb3 Sb 0.812 0.701 0.474
Sb4 Sb 0.190 0.054 0.175
O2 O 0.381 0.239 0.848
P3 P 0.457 0.723 0.226
O3 O 0.718 0.178 0.782
O4 O 0.741 0.863 0.626
C2 C 0.343 0.773 0.809
O5 O 0.073 0.670 0.593
H3 H 0.551 0.272 0.262
H4 H 0.449 0.728 0.738
C3 C 0.370 0.540 0.144
H5 H 0.688 0.115 0.192
O6 O 0.531 0.732 0.378
O7 O 0.282 0.822 0.218
O8 O 0.052 0.195 0.623
O9 O 0.469 0.268 0.622
O10 O 0.061 0.043 0.832
H6 H 0.399 0.771 0.913
Sb5 Sb 0.810 0.946 0.825
N1 N 0.715 0.061 0.444
Sb6 Sb 0.070 0.248 0.826
O11 O 0.144 0.511 0.751
O12 O 0.927 0.330 0.407
H7 H 0.308 0.527 0.038
N2 N 0.285 0.939 0.556
H8 H 0.742 0.485 0.799
O13 O 0.948 0.805 0.377
O14 O 0.963 0.750 0.835
O15 O 0.939 0.957 0.168
H9 H 0.601 0.229 0.087
O16 O 0.619 0.761 0.152
H10 H 0.489 0.465 0.147
O17 O 0.259 0.137 0.374
H11 H 0.312 0.885 0.808
H12 H 0.692 0.473 0.962
O18 O 0.856 0.489 0.249
C4 C 0.657 0.227 0.191
P4 P 0.543 0.277 0.774
# **ΔH_f (0 K)**: -1.078 eV/atom
# **MP2020-corrected energy**: -6.0734 eV/atom
# **E_tot**: -267.009 eV/cell

=====

# PBE-GGA SmNiGe, optimized geometry
data_SmNiGe
_chemical_formula_sum 'Sm4 Ni4 Ge4'
_symmetry_space_group_name_H-M 'P 1'
_symmetry_Int_Tables_number 1
_cell_length_a 4.322
_cell_length_b 7.129
_cell_length_c 7.244
_cell_angle_alpha 90.00
_cell_angle_beta 90.00
_cell_angle_gamma 90.00
loop_
_symmetry_equiv_pos_as_xyz
'x,y,z'
loop_
_atom_site_label
_atom_site_type_symbol
_atom_site_fract_x
_atom_site_fract_y
_atom_site_fract_z
Sm1 Sm 0.250 0.985 0.299
Ge1 Ge 0.750 0.693 0.407
Ni1 Ni 0.250 0.678 0.579
Ni2 Ni 0.250 0.178 0.921
Ni3 Ni 0.750 0.322 0.421
Ge2 Ge 0.750 0.193 0.093
Ni4 Ni 0.750 0.822 0.079
Ge3 Ge 0.250 0.307 0.593
Sm2 Sm 0.750 0.015 0.701
Ge4 Ge 0.250 0.807 0.907
Sm3 Sm 0.750 0.515 0.799
Sm4 Sm 0.250 0.485 0.201
# **ΔH_f (0 K)**: -0.737 eV/atom
# **E_tot**: -69.331 eV/cell

=====

# PBE-GGA V9GaGe2, optimized geometry
data_V9GaGe2
_chemical_formula_sum 'V18 Ga2 Ge4'
_symmetry_space_group_name_H-M 'P 1'
_symmetry_Int_Tables_number 1
_cell_length_a 4.785
_cell_length_b 4.804
_cell_length_c 14.121
_cell_angle_alpha 90.00
_cell_angle_beta 90.00
_cell_angle_gamma 90.00
loop_
_symmetry_equiv_pos_as_xyz
'x,y,z'
loop_
_atom_site_label
_atom_site_type_symbol
_atom_site_fract_x
_atom_site_fract_y
_atom_site_fract_z
Ge1 Ge 0.500 0.500 0.500
V1 V 0.000 0.500 0.750
V2 V 0.255 0.000 0.833
V3 V 0.000 0.500 0.250
V4 V 0.742 0.000 0.500
V5 V 0.000 0.500 0.585
Ge2 Ge 0.000 0.000 0.000
Ga1 Ga 0.500 0.500 0.833
V6 V 0.500 0.242 0.000
V7 V 0.500 0.756 0.666
V8 V 0.500 0.758 0.000
Ge3 Ge 0.000 0.000 0.334
V9 V 0.255 0.000 0.167
Ga2 Ga 0.500 0.500 0.167
V10 V 0.745 0.000 0.833
V11 V 0.500 0.756 0.334
V12 V 0.000 0.500 0.082
V13 V 0.500 0.244 0.666
V14 V 0.258 0.000 0.500
V15 V 0.000 0.500 0.918
V16 V 0.500 0.244 0.334
Ge4 Ge 0.000 0.000 0.666
V17 V 0.745 0.000 0.167
V18 V 0.000 0.500 0.415
# **ΔH_f (0 K)**: -0.278 eV/atom
# **E_tot**: -194.726 eV/cell

=====

# PBE-GGA UC2O6, optimized geometry
data_UC2O6
_chemical_formula_sum 'U4 C8 O24'
_symmetry_space_group_name_H-M 'P 1'
_symmetry_Int_Tables_number 1
_cell_length_a 7.671
_cell_length_b 7.671
_cell_length_c 11.040
_cell_angle_alpha 83.58
_cell_angle_beta 83.58
_cell_angle_gamma 65.36
loop_
_symmetry_equiv_pos_as_xyz
'x,y,z'
loop_
_atom_site_label
_atom_site_type_symbol
_atom_site_fract_x
_atom_site_fract_y
_atom_site_fract_z
O1 O 0.038 0.118 0.334
O2 O 0.339 0.944 0.152
O3 O 0.056 0.661 0.348
U1 U 0.317 0.091 0.277
O4 O 0.484 0.749 0.862
U2 U 0.909 0.683 0.223
O5 O 0.660 0.184 0.563
O6 O 0.516 0.251 0.138
O7 O 0.118 0.038 0.834
U3 U 0.683 0.909 0.723
O8 O 0.210 0.341 0.904
O9 O 0.341 0.210 0.404
O10 O 0.661 0.056 0.848
C1 C 0.424 0.648 0.471
O11 O 0.340 0.816 0.437
O12 O 0.816 0.340 0.937
O13 O 0.358 0.117 0.708
C2 C 0.648 0.424 0.971
O14 O 0.790 0.659 0.096
O15 O 0.962 0.882 0.666
O16 O 0.642 0.883 0.292
O17 O 0.944 0.339 0.652
O18 O 0.749 0.484 0.362
O19 O 0.883 0.642 0.792
O20 O 0.251 0.516 0.638
U4 U 0.091 0.317 0.777
O21 O 0.882 0.962 0.166
C3 C 0.508 0.383 0.064
C4 C 0.617 0.492 0.436
O22 O 0.659 0.790 0.596
C5 C 0.576 0.352 0.529
O23 O 0.117 0.358 0.208
C6 C 0.352 0.576 0.029
C7 C 0.492 0.617 0.936
O24 O 0.184 0.660 0.063
C8 C 0.383 0.508 0.564
# **ΔH_f (0 K)**: -1.648 eV/atom
# **MP2020-corrected energy**: -8.2525 eV/atom
# **E_tot**: -280.601 eV/cell

=====

# PBE-GGA Ca9LaTi10O30, optimized geometry
data_Ca9LaTi10O30
_chemical_formula_sum 'Ca18 La2 Ti20 O60'
_symmetry_space_group_name_H-M 'P 1'
_symmetry_Int_Tables_number 1
_cell_length_a 7.748
_cell_length_b 9.430
_cell_length_c 17.311
_cell_angle_alpha 89.93
_cell_angle_beta 90.80
_cell_angle_gamma 113.84
loop_
_symmetry_equiv_pos_as_xyz
'x,y,z'
loop_
_atom_site_label
_atom_site_type_symbol
_atom_site_fract_x
_atom_site_fract_y
_atom_site_fract_z
Ca1 Ca 0.682 0.390 0.860
O1 O 0.566 0.564 0.391
Ca2 Ca 0.231 0.407 0.345
O2 O 0.179 0.921 0.329
O3 O 0.839 0.678 0.278
O4 O 0.525 0.050 0.403
O5 O 0.474 0.948 0.596
Ti1 Ti 0.503 0.503 0.499
Ca3 Ca 0.628 0.205 0.545
O6 O 0.825 0.082 0.668
O7 O 0.928 0.854 0.604
O8 O 0.798 0.165 0.291
Ca4 Ca 0.029 0.005 0.743
Ti2 Ti 0.697 0.897 0.601
Ca5 Ca 0.280 0.589 0.662
O9 O 0.400 0.364 0.091
O10 O 0.656 0.913 0.837
O11 O 0.857 0.312 0.438
O12 O 0.000 0.564 0.891
Ti3 Ti 0.699 0.895 0.100
Ti4 Ti 0.398 0.302 0.202
Ti5 Ti 0.003 0.502 0.999
O13 O 0.326 0.651 0.805
O14 O 0.621 0.679 0.071
Ti6 Ti 0.200 0.895 0.600
O15 O 0.727 0.455 0.003
O16 O 0.765 0.966 0.992
O17 O 0.161 0.322 0.721
O18 O 0.037 0.078 0.877
Ti7 Ti 0.802 0.098 0.899
O19 O 0.199 0.967 0.491
O20 O 0.274 0.550 0.995
La1 La 0.115 0.207 0.543
O21 O 0.421 0.279 0.471
O22 O 0.035 0.637 0.409
O23 O 0.979 0.520 0.730
O24 O 0.021 0.479 0.271
Ti8 Ti 0.600 0.700 0.300
O25 O 0.345 0.087 0.162
O26 O 0.599 0.764 0.691
O27 O 0.560 0.121 0.920
O28 O 0.380 0.320 0.931
O29 O 0.634 0.834 0.209
Ti9 Ti 0.301 0.098 0.399
Ti10 Ti 0.797 0.099 0.398
Ti11 Ti 0.498 0.502 0.999
O30 O 0.639 0.278 0.678
Ca6 Ca 0.080 0.189 0.061
O31 O 0.166 0.763 0.191
Ca7 Ca 0.919 0.810 0.939
O32 O 0.455 0.512 0.238
O33 O 0.237 0.477 0.478
Ti12 Ti 0.601 0.701 0.800
Ti13 Ti 0.998 0.502 0.499
Ca8 Ca 0.772 0.595 0.656
O34 O 0.236 0.036 0.009
Ca9 Ca 0.429 0.806 0.943
O35 O 0.939 0.286 0.964
Ti14 Ti 0.101 0.701 0.300
Ti15 Ti 0.196 0.897 0.100
O36 O 0.962 0.367 0.591
O37 O 0.874 0.749 0.796
O38 O 0.795 0.033 0.508
O39 O 0.744 0.888 0.362
O40 O 0.441 0.881 0.077
Ca10 Ca 0.519 0.012 0.739
Ca11 Ca 0.969 0.994 0.255
O41 O 0.836 0.237 0.809
Ti16 Ti 0.297 0.098 0.898
O42 O 0.362 0.722 0.323
O43 O 0.961 0.920 0.123
O44 O 0.260 0.111 0.639
O45 O 0.579 0.720 0.530
O46 O 0.127 0.251 0.205
O47 O 0.402 0.236 0.309
Ti17 Ti 0.404 0.304 0.702
Ti18 Ti 0.904 0.304 0.202
O48 O 0.364 0.164 0.791
O49 O 0.545 0.488 0.763
O50 O 0.056 0.712 0.038
Ca12 Ca 0.319 0.610 0.139
O51 O 0.763 0.525 0.522
Ca13 Ca 0.480 0.988 0.260
O52 O 0.674 0.348 0.194
Ca14 Ca 0.720 0.411 0.339
O53 O 0.601 0.637 0.909
O54 O 0.202 0.834 0.709
Ca15 Ca 0.171 0.394 0.855
O55 O 0.073 0.149 0.396
O56 O 0.432 0.434 0.608
O57 O 0.146 0.688 0.562
Ca16 Ca 0.830 0.606 0.145
Ca17 Ca 0.371 0.795 0.455
O58 O 0.783 0.118 0.132
Ca18 Ca 0.880 0.790 0.460
Ti19 Ti 0.899 0.302 0.702
La2 La 0.579 0.195 0.055
O59 O 0.219 0.880 0.870
Ti20 Ti 0.100 0.700 0.800
O60 O 0.998 0.433 0.109
# **ΔH_f (0 K)**: -3.576 eV/atom
# **MP2020-corrected energy**: -8.5840 eV/atom
# **E_tot**: -817.177 eV/cell

=====

# PBE-GGA PdSe2Br6, optimized geometry
data_PdSe2Br6
_chemical_formula_sum 'Pd1 Se2 Br6'
_symmetry_space_group_name_H-M 'P 1'
_symmetry_Int_Tables_number 1
_cell_length_a 5.042
_cell_length_b 7.395
_cell_length_c 9.368
_cell_angle_alpha 106.47
_cell_angle_beta 95.81
_cell_angle_gamma 91.76
loop_
_symmetry_equiv_pos_as_xyz
'x,y,z'
loop_
_atom_site_label
_atom_site_type_symbol
_atom_site_fract_x
_atom_site_fract_y
_atom_site_fract_z
Pd1 Pd 0.000 0.500 0.500
Br1 Br 0.917 0.003 0.287
Se1 Se 0.312 0.715 0.695
Se2 Se 0.688 0.285 0.305
Br2 Br 0.309 0.622 0.355
Br3 Br 0.083 0.997 0.713
Br4 Br 0.691 0.378 0.645
Br5 Br 0.253 0.674 0.932
Br6 Br 0.747 0.326 0.068
# **ΔH_f (0 K)**: -0.589 eV/atom
# **MP2020-corrected energy**: -3.0323 eV/atom
# **E_tot**: -24.086 eV/cell

=====

# PBE-GGA Rb3TiF6, optimized geometry
data_Rb3TiF6
_chemical_formula_sum 'Rb3 Ti1 F6'
_symmetry_space_group_name_H-M 'P 1'
_symmetry_Int_Tables_number 1
_cell_length_a 6.588
_cell_length_b 6.588
_cell_length_c 6.588
_cell_angle_alpha 60.00
_cell_angle_beta 60.00
_cell_angle_gamma 60.00
loop_
_symmetry_equiv_pos_as_xyz
'x,y,z'
loop_
_atom_site_label
_atom_site_type_symbol
_atom_site_fract_x
_atom_site_fract_y
_atom_site_fract_z
F1 F 0.214 0.214 0.786
Rb1 Rb 0.750 0.750 0.750
Rb2 Rb 0.250 0.250 0.250
F2 F 0.786 0.214 0.786
F3 F 0.214 0.786 0.786
F4 F 0.786 0.214 0.214
Ti1 Ti 0.000 0.000 0.000
F5 F 0.214 0.786 0.214
F6 F 0.786 0.786 0.214
Rb3 Rb 0.500 0.500 0.500
# **ΔH_f (0 K)**: -3.262 eV/atom
# **MP2020-corrected energy**: -5.4944 eV/atom
# **E_tot**: -52.172 eV/cell

=====

# PBE-GGA Cr2FeTe4, optimized geometry
data_Cr2FeTe4
_chemical_formula_sum 'Cr2 Fe1 Te4'
_symmetry_space_group_name_H-M 'P 1'
_symmetry_Int_Tables_number 1
_cell_length_a 7.051
_cell_length_b 7.051
_cell_length_c 6.944
_cell_angle_alpha 60.59
_cell_angle_beta 60.59
_cell_angle_gamma 33.56
loop_
_symmetry_equiv_pos_as_xyz
'x,y,z'
loop_
_atom_site_label
_atom_site_type_symbol
_atom_site_fract_x
_atom_site_fract_y
_atom_site_fract_z
Te1 Te 0.626 0.626 0.038
Te2 Te 0.121 0.121 0.543
Te3 Te 0.879 0.879 0.457
Cr1 Cr 0.252 0.252 0.735
Te4 Te 0.374 0.374 0.962
Cr2 Cr 0.748 0.748 0.265
Fe1 Fe 0.000 0.000 0.000
# **ΔH_f (0 K)**: -0.354 eV/atom
# **MP2020-corrected energy**: -6.1178 eV/atom
# **E_tot**: -41.136 eV/cell

=====

# PBE-GGA PrBi3, optimized geometry
data_PrBi3
_chemical_formula_sum 'Pr1 Bi3'
_symmetry_space_group_name_H-M 'P 1'
_symmetry_Int_Tables_number 1
_cell_length_a 6.488
_cell_length_b 6.488
_cell_length_c 6.488
_cell_angle_alpha 136.97
_cell_angle_beta 136.97
_cell_angle_gamma 62.49
loop_
_symmetry_equiv_pos_as_xyz
'x,y,z'
loop_
_atom_site_label
_atom_site_type_symbol
_atom_site_fract_x
_atom_site_fract_y
_atom_site_fract_z
Bi1 Bi 0.750 0.250 0.500
Pr1 Pr 0.000 0.000 0.000
Bi2 Bi 0.500 0.500 0.000
Bi3 Bi 0.250 0.750 0.500
# **ΔH_f (0 K)**: -0.450 eV/atom
# **E_tot**: -18.251 eV/cell

=====

# PBE-GGA ZrMoN3, optimized geometry
data_ZrMoN3
_chemical_formula_sum 'Zr4 Mo4 N12'
_symmetry_space_group_name_H-M 'P 1'
_symmetry_Int_Tables_number 1
_cell_length_a 8.569
_cell_length_b 5.869
_cell_length_c 7.951
_cell_angle_alpha 122.29
_cell_angle_beta 116.28
_cell_angle_gamma 84.70
loop_
_symmetry_equiv_pos_as_xyz
'x,y,z'
loop_
_atom_site_label
_atom_site_type_symbol
_atom_site_fract_x
_atom_site_fract_y
_atom_site_fract_z
N1 N 0.775 0.844 0.912
N2 N 0.636 0.274 0.660
Mo1 Mo 0.245 0.820 0.881
N3 N 0.364 0.726 0.340
N4 N 0.082 0.544 0.820
Mo2 Mo 0.399 0.100 0.612
Mo3 Mo 0.755 0.180 0.119
N5 N 0.733 0.676 0.450
N6 N 0.225 0.156 0.088
Zr1 Zr 0.711 0.618 0.027
Zr2 Zr 0.809 0.480 0.628
N7 N 0.267 0.324 0.550
N8 N 0.453 0.739 0.049
Mo4 Mo 0.601 0.900 0.388
Zr3 Zr 0.289 0.382 0.973
N9 N 0.918 0.456 0.180
N10 N 0.758 0.075 0.318
N11 N 0.547 0.261 0.951
Zr4 Zr 0.191 0.520 0.372
N12 N 0.242 0.925 0.682
# **ΔH_f (0 K)**: -0.894 eV/atom
# **MP2020-corrected energy**: -9.7748 eV/atom
# **E_tot**: -191.164 eV/cell

=====

# PBE-GGA Mg3Zr, optimized geometry
data_Mg3Zr
_chemical_formula_sum 'Mg3 Zr1'
_symmetry_space_group_name_H-M 'P 1'
_symmetry_Int_Tables_number 1
_cell_length_a 4.986
_cell_length_b 4.986
_cell_length_c 4.986
_cell_angle_alpha 60.00
_cell_angle_beta 60.00
_cell_angle_gamma 60.00
loop_
_symmetry_equiv_pos_as_xyz
'x,y,z'
loop_
_atom_site_label
_atom_site_type_symbol
_atom_site_fract_x
_atom_site_fract_y
_atom_site_fract_z
Zr1 Zr 0.500 0.500 0.500
Mg1 Mg 0.250 0.250 0.250
Mg2 Mg 0.750 0.750 0.750
Mg3 Mg 0.000 0.000 0.000
# **ΔH_f (0 K)**: 0.108 eV/atom
# **E_tot**: -12.916 eV/cell